A plane-wave DFT calculation with PBE was carried out for a relaxed structure of SmP5.

Cell: 5.013 9.539 5.427 Å, 90.00 102.10 90.00°
Space group P2_1/m (No. 11)
Asymmetric unit:
Sm 0.007 0.250 0.348 x2
P 0.284 0.250 0.897 x2
P 0.290 0.529 0.404 x4
P 0.384 0.591 0.046 x4

Summary:
calculated formation energy	-0.537	eV per atom
raw total energy	-5.835	eV/atom



A plane-wave DFT calculation with PBE was carried out for a relaxed structure of SmZn3P3.

Cell: 4.0337 4.0337 20.0095 Å, 90.00 90.00 120.00°
Space group P6_3/mmc (No. 194)
Asymmetric unit:
Sm 0.0000 0.0000 0.0000 x2
Zn 0.3333 0.6667 0.1289 x4
Zn 0.3333 0.6667 0.7500 x2
P 0.3333 0.6667 0.2500 x2
P 0.3333 0.6667 0.5861 x4

Summary:
calculated formation energy	-0.602	eV per atom
raw total energy	-4.136	eV/atom



A plane-wave DFT calculation with PBE was carried out for a relaxed structure of SnP.

Cell: 5.592 5.592 5.592 Å, 90.00 90.00 90.00°
Space group Fm-3m (No. 225)
Asymmetric unit:
Sn 0.000 0.000 0.000 x4
P 0.000 0.000 0.500 x4

Summary:
calculated formation energy	0.006	eV per atom
raw total energy	-4.706	eV/atom



A plane-wave DFT calculation with PBE was carried out for a relaxed structure of SnP.

Cell: 4.1763 4.1763 6.8772 Å, 90.00 90.00 120.00°
Space group P-3m1 (No. 164)
Asymmetric unit:
Sn 0.3333 0.6667 0.1661 x2
P 0.0000 0.0000 0.3409 x2

Summary:
calculated formation energy	0.017	eV per atom
raw total energy	-4.694	eV/atom